[1]
Compound: Nd2Mo3O12
Source: the Materials Project database
Functional: r²SCAN
Structure: optimized geometry

Computed properties:
* energy of formation from the pure elements: -2.7408 eV/atom
* electronic total energy: -0.5519 Ha/atom

Unit cell a=6.9318 b=6.9318 c=11.8236 alpha=99.79 beta=99.79 gamma=114.37
Last column: nearest neighbours and their distance in Å.
Atoms (fractional coordinates):
Nd 0.0446 0.2922 0.0898  8 O 2.42-2.54
Nd 0.2922 0.0446 0.5898  8 O 2.42-2.54
Nd 0.7078 0.9554 0.4102  8 O 2.42-2.54
Nd 0.9554 0.7078 0.9102  8 O 2.42-2.54
Mo 0.1265 0.8735 0.2500  4 O 1.74-1.81
Mo 0.2148 0.4636 0.4266  4 O 1.75-1.83
Mo 0.4636 0.2148 0.9266  4 O 1.75-1.83
Mo 0.5364 0.7852 0.0734  4 O 1.75-1.83
Mo 0.7852 0.5364 0.5734  4 O 1.75-1.83
Mo 0.8735 0.1265 0.7500  4 O 1.74-1.81
O 0.0432 0.4377 0.2910  1 Mo 1.76
O 0.0823 0.6721 0.1164  1 Mo 1.81
O 0.1081 0.1939 0.4562  1 Mo 1.83
O 0.1265 0.2033 0.7178  1 Mo 1.74
O 0.1939 0.1081 0.9562  1 Mo 1.83
O 0.2033 0.1265 0.2178  1 Mo 1.74
O 0.2190 0.6629 0.5416  1 Mo 1.75
O 0.3279 0.9177 0.3836  1 Mo 1.81
O 0.3371 0.7810 0.9584  1 Mo 1.75
O 0.4277 0.5221 0.0987  1 Mo 1.76
O 0.4377 0.0432 0.7910  1 Mo 1.76
O 0.4779 0.5723 0.4013  1 Mo 1.76
O 0.5221 0.4277 0.5987  1 Mo 1.76
O 0.5623 0.9568 0.2090  1 Mo 1.76
O 0.5723 0.4779 0.9013  1 Mo 1.76
O 0.6629 0.2190 0.0416  1 Mo 1.75
O 0.6721 0.0823 0.6164  1 Mo 1.81
O 0.7810 0.3371 0.4584  1 Mo 1.75
O 0.7967 0.8735 0.7822  1 Mo 1.74
O 0.8061 0.8919 0.0438  1 Mo 1.83
O 0.8735 0.7967 0.2822  1 Mo 1.74
O 0.8919 0.8061 0.5438  1 Mo 1.83
O 0.9177 0.3279 0.8836  1 Mo 1.81
O 0.9568 0.5623 0.7090  1 Mo 1.76


[2]
Compound: Ni3Mo
Source: the Materials Project database
Functional: r²SCAN
Structure: optimized geometry

Computed properties:
* energy of formation from the pure elements: -0.0524 eV/atom
* electronic total energy: -0.5717 Ha/atom

Unit cell a=4.2017 b=4.9705 c=4.4277 alpha=90.00 beta=90.00 gamma=90.00
Last column: nearest neighbours and their distance in Å.
Atoms (fractional coordinates):
Ni 0.2500 0.0015 0.1593  8 Ni 2.47-2.56, 4 Mo 2.52-2.57
Ni 0.2500 0.2500 0.6663  4 Mo 2.49-2.54, 8 Ni 2.51-2.56
Ni 0.2500 0.4985 0.1593  8 Ni 2.47-2.56, 4 Mo 2.52-2.57
Ni 0.7500 0.5015 0.8407  8 Ni 2.47-2.56, 4 Mo 2.52-2.57
Ni 0.7500 0.7500 0.3337  4 Mo 2.49-2.54, 8 Ni 2.51-2.56
Ni 0.7500 0.9985 0.8407  8 Ni 2.47-2.56, 4 Mo 2.52-2.57
Mo 0.2500 0.7500 0.6544  12 Ni 2.49-2.57
Mo 0.7500 0.2500 0.3456  12 Ni 2.49-2.57


[3]
Compound: SiNi3Mo2
Source: the Materials Project database
Functional: r²SCAN
Structure: optimized geometry

Computed properties:
* energy of formation from the pure elements: -0.3417 eV/atom
* electronic total energy: -0.6058 Ha/atom

Unit cell a=4.7262 b=4.7262 c=7.4689 alpha=90.00 beta=90.00 gamma=120.00
Last column: nearest neighbours and their distance in Å.
Atoms (fractional coordinates):
Si 0.0000 0.0000 0.0000  6 Ni 2.33
Si 0.0000 0.0000 0.5000  6 Ni 2.33
Ni 0.1696 0.3393 0.2500  4 Ni 2.32-2.41, 2 Si 2.33
Ni 0.1696 0.8304 0.2500  4 Ni 2.32-2.41, 2 Si 2.33
Ni 0.3393 0.1696 0.7500  4 Ni 2.32-2.41, 2 Si 2.33
Ni 0.6607 0.8304 0.2500  4 Ni 2.32-2.41, 2 Si 2.33
Ni 0.8304 0.1696 0.7500  4 Ni 2.32-2.41, 2 Si 2.33
Ni 0.8304 0.6607 0.7500  4 Ni 2.32-2.41, 2 Si 2.33
Mo 0.3333 0.6667 0.5664  9 Ni 2.72-2.73, 4 Mo 2.74-2.90, 3 Si 2.77
Mo 0.3333 0.6667 0.9336  9 Ni 2.72-2.73, 4 Mo 2.74-2.90, 3 Si 2.77
Mo 0.6667 0.3333 0.0664  9 Ni 2.72-2.73, 4 Mo 2.74-2.90, 3 Si 2.77
Mo 0.6667 0.3333 0.4336  9 Ni 2.72-2.73, 4 Mo 2.74-2.90, 3 Si 2.77


[4]
Compound: TaNi6Mo
Source: the Materials Project database
Functional: r²SCAN
Structure: optimized geometry

Computed properties:
* energy of formation from the pure elements: -0.1921 eV/atom
* electronic total energy: -0.6803 Ha/atom

Unit cell a=4.2082 b=5.0182 c=4.4616 alpha=90.00 beta=90.00 gamma=90.00
Last column: nearest neighbours and their distance in Å.
Atoms (fractional coordinates):
Ta 0.0000 0.0000 0.0000  12 Ni 2.51-2.60
Ni 0.0000 0.2555 0.5062  8 Ni 2.45-2.58, 2 Ta 2.55-2.60, 2 Mo 2.58
Ni 0.0000 0.5000 0.0139  2 Ta 2.51, 8 Ni 2.52-2.58, 2 Mo 2.54
Ni 0.0000 0.7445 0.5062  8 Ni 2.45-2.58, 2 Ta 2.55-2.60, 2 Mo 2.58
Ni 0.5000 0.0000 0.6675  8 Ni 2.48-2.66, 2 Mo 2.51, 2 Ta 2.57
Ni 0.5000 0.2543 0.1898  8 Ni 2.47-2.66, 2 Mo 2.53-2.57, 2 Ta 2.60
Ni 0.5000 0.7457 0.1898  8 Ni 2.47-2.66, 2 Mo 2.53-2.57, 2 Ta 2.60
Mo 0.5000 0.5000 0.6957  12 Ni 2.51-2.58


[5]
Compound: Np2Si4Mo3
Source: the Materials Project database
Functional: r²SCAN
Structure: optimized geometry

Computed properties:
* energy of formation from the pure elements: -0.5706 eV/atom
* electronic total energy: -1.1617 Ha/atom

Unit cell a=6.8999 b=6.9125 c=6.7881 alpha=90.00 beta=109.50 gamma=90.00
Last column: nearest neighbours and their distance in Å.
Atoms (fractional coordinates):
Np 0.1862 0.1638 0.0598  7 Si 2.83-3.05
Np 0.1862 0.3362 0.5598  7 Si 2.83-3.05
Np 0.8138 0.6638 0.4402  7 Si 2.83-3.05
Np 0.8138 0.8362 0.9402  7 Si 2.83-3.05
Si 0.0911 0.5445 0.8755  1 Si 2.50, 4 Mo 2.54-2.68
Si 0.0911 0.9555 0.3755  1 Si 2.50, 4 Mo 2.54-2.68
Si 0.4986 0.6322 0.6314  5 Mo 2.55-2.70, 1 Si 2.56, 1 Np 2.84
Si 0.4986 0.8678 0.1314  5 Mo 2.55-2.70, 1 Si 2.56, 1 Np 2.84
Si 0.5014 0.1322 0.8686  5 Mo 2.55-2.70, 1 Si 2.56, 1 Np 2.84
Si 0.5014 0.3678 0.3686  5 Mo 2.55-2.70, 1 Si 2.56, 1 Np 2.84
Si 0.9089 0.0445 0.6245  1 Si 2.50, 4 Mo 2.54-2.68
Si 0.9089 0.4555 0.1245  1 Si 2.50, 4 Mo 2.54-2.68
Mo 0.2494 0.6672 0.2528  6 Si 2.54-2.66
Mo 0.2494 0.8328 0.7528  6 Si 2.54-2.66
Mo 0.5000 0.0000 0.5000  6 Si 2.66-2.70
Mo 0.5000 0.5000 0.0000  6 Si 2.66-2.70
Mo 0.7506 0.1672 0.2472  6 Si 2.54-2.66
Mo 0.7506 0.3328 0.7472  6 Si 2.54-2.66


electronic total energy of number 2 (Ni3Mo)?
-0.5717 Ha/atom


Which of these has the lowest electronic total energy?
Np2Si4Mo3


Among the records above, which one has the lowest electronic total energy?
Np2Si4Mo3